DFT (meta-GGA r2SCAN) results for a relaxed structure of PrHf2F11.

abc: 8.363 8.363 8.363
angles: 125.15 106.55 98.01
Fractional coordinates of all 28 atoms:
1 Pr 0.750 0.250 0.500
2 Pr 0.250 0.750 0.500
3 Hf 0.680 0.632 0.313
4 Hf 0.320 0.368 0.687
5 Hf 0.180 0.868 0.048
6 Hf 0.820 0.132 0.952
7 F 0.705 0.891 0.339
8 F 0.295 0.109 0.661
9 F 0.552 0.366 0.661
10 F 0.948 0.609 0.814
11 F 0.448 0.634 0.339
12 F 0.052 0.391 0.186
13 F 0.795 0.134 0.186
14 F 0.205 0.866 0.814
15 F 0.500 0.500 0.000
16 F 0.000 0.000 0.000
17 F 0.780 0.869 0.649
18 F 0.220 0.131 0.351
19 F 0.280 0.631 0.911
20 F 0.720 0.369 0.089
21 F 0.949 0.738 0.416
22 F 0.051 0.262 0.584
23 F 0.322 0.533 0.584
24 F 0.178 0.762 0.211
25 F 0.678 0.467 0.416
26 F 0.822 0.238 0.789
27 F 0.551 0.967 0.789
28 F 0.449 0.033 0.211

Values from the calculation:
E_form: -4.197 eV per atom
electronic total energy: -1.1174 Ry per atom

---

DFT (meta-GGA r2SCAN) results for a relaxed structure of Th3In.

abc: 4.955 4.955 4.955
angles: 90.00 90.00 90.00
Fractional coordinates of all 4 atoms:
1 Th 0.000 0.500 0.500
2 Th 0.500 0.000 0.500
3 Th 0.500 0.500 0.000
4 In 0.000 0.000 0.000

Values from the calculation:
E_form: -0.218 eV per atom
electronic total energy: -4.4811 Ry per atom

---

DFT (meta-GGA r2SCAN) results for a relaxed structure of CaB12H12.

abc: 7.142 7.142 10.771
angles: 89.82 89.82 122.03
Fractional coordinates of all 50 atoms:
1 Ca 0.830 0.170 0.750
2 Ca 0.170 0.830 0.250
3 B 0.390 0.922 0.836
4 B 0.078 0.610 0.664
5 B 0.610 0.078 0.164
6 B 0.922 0.390 0.336
7 B 0.251 0.067 0.838
8 B 0.933 0.749 0.662
9 B 0.749 0.933 0.162
10 B 0.067 0.251 0.338
11 B 0.195 0.638 0.813
12 B 0.362 0.805 0.687
13 B 0.805 0.362 0.187
14 B 0.638 0.195 0.313
15 B 0.966 0.868 0.813
16 B 0.132 0.034 0.687
17 B 0.034 0.132 0.187
18 B 0.868 0.966 0.313
19 B 0.126 0.800 0.906
20 B 0.200 0.874 0.594
21 B 0.874 0.200 0.094
22 B 0.800 0.126 0.406
23 B 0.933 0.606 0.799
24 B 0.394 0.067 0.701
25 B 0.067 0.394 0.201
26 B 0.606 0.933 0.299
27 H 0.551 0.981 0.898
28 H 0.019 0.449 0.602
29 H 0.449 0.019 0.102
30 H 0.981 0.551 0.398
31 H 0.314 0.228 0.898
32 H 0.772 0.686 0.602
33 H 0.686 0.772 0.102
34 H 0.228 0.314 0.398
35 H 0.216 0.495 0.856
36 H 0.505 0.784 0.644
37 H 0.784 0.505 0.144
38 H 0.495 0.216 0.356
39 H 0.821 0.882 0.860
40 H 0.118 0.179 0.640
41 H 0.179 0.118 0.140
42 H 0.882 0.821 0.360
43 H 0.095 0.769 0.015
44 H 0.231 0.905 0.485
45 H 0.905 0.231 0.985
46 H 0.769 0.095 0.515
47 H 0.768 0.443 0.836
48 H 0.557 0.232 0.664
49 H 0.232 0.557 0.164
50 H 0.443 0.768 0.336

Values from the calculation:
E_form: -0.360 eV per atom
electronic total energy: -0.4283 Ry per atom

---

DFT (meta-GGA r2SCAN) results for a relaxed structure of Np.

abc: 3.464 4.573 4.573
angles: 90.00 90.00 90.00
Fractional coordinates of all 4 atoms:
1 Np 0.000 0.250 0.750
2 Np 0.000 0.750 0.250
3 Np 0.689 0.250 0.250
4 Np 0.311 0.750 0.750

Values from the calculation:
E_form: 0.096 eV per atom
electronic total energy: -6.0951 Ry per atom

---

DFT (meta-GGA r2SCAN) results for a relaxed structure of ZrGaPt.

abc: 7.163 7.163 7.109
angles: 90.00 90.00 120.00
Fractional coordinates of all 18 atoms:
1 Zr 0.386 0.408 0.750
2 Zr 0.022 0.614 0.750
3 Zr 0.592 0.978 0.750
4 Zr 0.614 0.022 0.250
5 Zr 0.978 0.592 0.250
6 Zr 0.408 0.386 0.250
7 Ga 0.267 0.000 0.000
8 Ga 0.733 0.733 0.000
9 Ga 0.000 0.267 0.000
10 Ga 0.733 0.733 0.500
11 Ga 0.267 0.000 0.500
12 Ga 0.000 0.267 0.500
13 Pt 0.667 0.333 0.969
14 Pt 0.000 0.000 0.750
15 Pt 0.667 0.333 0.531
16 Pt 0.333 0.667 0.469
17 Pt 0.333 0.667 0.031
18 Pt 0.000 0.000 0.250

Values from the calculation:
E_form: -1.096 eV per atom
electronic total energy: -2.1797 Ry per atom

---

DFT (meta-GGA r2SCAN) results for a relaxed structure of NdDy3.

abc: 5.065 5.063 5.064
angles: 90.04 90.00 90.00
Fractional coordinates of all 4 atoms:
1 Nd 0.000 0.000 0.000
2 Dy 0.000 0.500 0.500
3 Dy 0.500 0.500 0.000
4 Dy 0.500 0.000 0.500

Values from the calculation:
E_form: 0.040 eV per atom
electronic total energy: -2.3006 Ry per atom